a | Below is a geometry-optimized Sr3NbCoO7 structure, with properties calculated at the PBE with a Hubbard U level.

## Properties
- Space-group type: P1

Cell: 7.9534 8.8994 11.0997 Å, 94.60 100.32 116.54°
With the nearest neighbours (Å) after each atom.
Positions (direct):
Sr1 0.0000 0.0000 0.0000  1 O 2.37
Sr2 0.0302 0.6856 0.7495  9 O 2.61-2.88
Sr3 0.1631 0.1050 0.4232  8 O 2.59-2.88
Sr4 0.2491 0.4983 0.0001  1 O 2.37
Sr5 0.2819 0.1873 0.7512  9 O 2.59-2.88
Sr6 0.4084 0.6062 0.4239  5 O 2.57-2.86
Sr7 0.5003 0.9987 0.0018  1 O 2.35
Sr8 0.5302 0.6863 0.7498  9 O 2.60-2.90
Sr9 0.6526 0.1040 0.4238  8 O 2.59-2.89
Sr10 0.7504 0.5000 0.0016  1 O 2.35
Sr11 0.7808 0.1874 0.7513  9 O 2.59-2.87
Sr12 0.9079 0.6043 0.4233  5 O 2.57-2.88
Nb1 0.1949 0.7956 0.1879  6 O 1.92-2.10
Nb2 0.4454 0.2964 0.1885  6 O 1.92-2.10
Nb3 0.6954 0.7967 0.1885  6 O 1.92-2.11
Nb4 0.9450 0.2956 0.1887  6 O 1.92-2.11
Co1 0.0966 0.3958 0.5948  5 O 1.88-2.09
Co2 0.3505 0.9019 0.5998  4 O 1.91-1.97
Co3 0.5972 0.3956 0.5989  4 O 1.91-1.97
Co4 0.8492 0.8998 0.5955  5 O 1.88-2.09
O1 0.0110 0.3360 0.3676  1 Nb 1.92
O2 0.0664 0.5432 0.1786  2 Nb 1.99
O3 0.1022 0.8924 0.5773  2 Co 1.91-2.09
O4 0.1211 0.7465 0.9922  1 Nb 2.10
O5 0.1624 0.4353 0.7793  1 Co 1.98
O6 0.1911 0.2936 0.1766  2 Nb 1.99
O7 0.2060 0.6253 0.5755  1 Co 1.88
O8 0.2637 0.8405 0.3668  1 Nb 1.92
O9 0.3161 0.0435 0.1780  2 Nb 2.00
O10 0.3532 0.3949 0.5779  2 Co 1.91-2.09
O11 0.3734 0.2478 0.9927  1 Nb 2.10
O12 0.4150 0.9368 0.7831  1 Co 1.97
O13 0.4408 0.7928 0.1765  2 Nb 1.99
O14 0.4671 0.1446 0.5831  2 Co 1.97
O15 0.5112 0.3399 0.3673  1 Nb 1.92
O16 0.5672 0.5443 0.1792  2 Nb 1.99-2.00
O17 0.5802 0.8936 0.5790  2 Co 1.91-2.09
O18 0.6220 0.7463 0.9921  1 Nb 2.11
O19 0.6720 0.4519 0.7827  1 Co 1.97
O20 0.6919 0.2940 0.1785  2 Nb 1.99
O21 0.7243 0.6608 0.5752  1 Co 1.88
O22 0.7641 0.8469 0.3674  1 Nb 1.92
O23 0.8155 0.0428 0.1744  2 Nb 1.99
O24 0.8294 0.3935 0.5775  2 Co 1.91-2.09
O25 0.8717 0.2481 0.9923  1 Nb 2.11
O26 0.9240 0.9541 0.7793  1 Co 1.98
O27 0.9413 0.7935 0.1780  2 Nb 1.99
O28 0.9657 0.1431 0.5747  2 Co 1.98-1.99

b | Below is a geometry-optimized Sr3NbCoO7 structure, with properties calculated at the PBE with a Hubbard U level.

## Properties
- Space-group type: P1

Cell: 3.9822 3.9882 42.3112 Å, 90.00 90.04 90.08°
With the nearest neighbours (Å) after each atom.
Positions (direct):
Sr1 0.0000 0.0000 0.0000  8 O 2.58-2.88
Sr2 0.0003 0.9997 0.1055  1 O 2.33
Sr3 0.9996 0.9971 0.6067  1 O 2.35
Sr4 0.0042 0.9956 0.9195  9 O 2.65-2.87
Sr5 0.4972 0.4941 0.6703  9 O 2.64-2.87
Sr6 0.4971 0.5032 0.1689  9 O 2.62-2.88
Sr7 0.5024 0.4991 0.8554  1 O 2.34
Sr8 0.5035 0.4980 0.3546  1 O 2.38
Sr9 0.5048 0.4948 0.2490  4 O 2.54-2.56
Sr10 0.5052 0.5023 0.7504  7 O 2.57-2.86
Sr11 0.9931 0.9959 0.5006  6 O 2.57-2.85
Sr12 0.9966 0.9974 0.4188  7 O 2.57-2.79
Nb1 0.0029 0.0001 0.8073  6 O 1.94-2.07
Nb2 0.0028 0.9974 0.3078  6 O 1.91-2.12
Nb3 0.4985 0.4972 0.5587  6 O 1.93-2.08
Nb4 0.5003 0.4995 0.0579  6 O 1.93-2.08
Co1 0.0013 0.9984 0.7089  5 O 1.98-2.00
Co2 0.0015 0.9981 0.2075  5 O 1.99-2.01
Co3 0.4843 0.4940 0.4558  5 O 1.91-2.09
Co4 0.5015 0.4982 0.9578  5 O 1.99-2.00
O1 0.0001 0.4983 0.8093  2 Nb 1.99-2.00
O2 0.0004 0.9974 0.7614  1 Nb 1.94
O3 0.0013 0.4984 0.3109  2 Nb 1.99-2.00
O4 0.0009 0.4984 0.5609  2 Nb 1.98-2.00
O5 0.0005 0.4978 0.9611  2 Co 1.99-2.00
O6 0.0008 0.4990 0.0603  2 Nb 1.99-2.00
O7 0.0015 0.4997 0.7116  2 Co 1.99-2.00
O8 0.0013 0.9978 0.8561  1 Nb 2.07
O9 0.0015 0.9993 0.2628  1 Nb 1.91
O10 0.0017 0.4964 0.2113  2 Co 1.99-2.01
O11 0.0034 0.9997 0.3579  1 Nb 2.12
O12 0.0027 0.0000 0.6621  1 Co 1.98
O13 0.0037 0.9949 0.1605  1 Co 1.99
O14 0.0062 0.4992 0.4614  2 Co 1.92-2.09
O15 0.4989 0.5005 0.9106  1 Co 2.00
O16 0.5014 0.4982 0.0122  1 Nb 1.93
O17 0.5015 0.4987 0.1070  1 Nb 2.08
O18 0.5013 0.9970 0.8093  2 Nb 1.99-2.00
O19 0.5007 0.9990 0.0602  2 Nb 1.99-2.00
O20 0.5024 0.4978 0.5130  1 Nb 1.93
O21 0.5017 0.4980 0.6079  1 Nb 2.08
O22 0.5023 0.9985 0.3109  2 Nb 1.99-2.00
O23 0.5023 0.9978 0.5609  2 Nb 1.99-2.00
O24 0.5022 0.9995 0.4611  2 Co 1.99-2.03
O25 0.5019 0.9992 0.9611  2 Co 2.00
O26 0.5032 0.9979 0.2113  2 Co 1.99-2.00
O27 0.5026 0.9985 0.7116  2 Co 1.99-2.00
O28 0.5196 0.5029 0.4109  1 Co 1.91

c | Below is a geometry-optimized Sr3NbCoO7 structure, with properties calculated at the PBE with a Hubbard U level.

## Properties
- Space-group type: Cc

Cell: 21.8455 21.8455 5.6277 Å, 97.40 97.40 14.80°
With the nearest neighbours (Å) after each atom.
Positions (direct):
Sr1 0.0001 0.5004 0.7499  9 O 2.61-2.84
Sr2 0.0629 0.5631 0.3125  1 O 2.36
Sr3 0.1681 0.6683 0.4174  8 O 2.59-2.88
Sr4 0.2501 0.7499 0.5000  9 O 2.60-2.84
Sr5 0.3129 0.8121 0.0624  1 O 2.36
Sr6 0.4185 0.9179 0.1680  8 O 2.59-2.88
Sr7 0.5004 0.0001 0.2499  9 O 2.61-2.84
Sr8 0.5631 0.0629 0.8125  1 O 2.36
Sr9 0.6683 0.1681 0.9174  8 O 2.59-2.88
Sr10 0.7499 0.2501 0.0000  9 O 2.60-2.84
Sr11 0.8121 0.3129 0.5624  1 O 2.36
Sr12 0.9179 0.4185 0.6680  8 O 2.59-2.88
Nb1 0.1099 0.6100 0.8593  6 O 1.92-2.10
Nb2 0.3598 0.8594 0.6096  6 O 1.92-2.10
Nb3 0.6100 0.1099 0.3593  6 O 1.92-2.10
Nb4 0.8594 0.3598 0.1096  6 O 1.92-2.10
Co1 0.2116 0.7113 0.9610  5 O 1.89-2.11
Co2 0.4615 0.9620 0.7115  5 O 1.89-2.11
Co3 0.7113 0.2116 0.4610  5 O 1.89-2.11
Co4 0.9620 0.4615 0.2115  5 O 1.89-2.11
O1 0.0081 0.5080 0.2574  1 Co 1.99
O2 0.0607 0.5612 0.8109  1 Nb 2.10
O3 0.1068 0.1070 0.3567  2 Nb 1.99-2.00
O4 0.1070 0.1068 0.8567  2 Nb 1.99-2.00
O5 0.1545 0.6548 0.9040  1 Nb 1.92
O6 0.1934 0.2204 0.4424  2 Co 1.89-2.11
O7 0.2204 0.1934 0.9424  2 Co 1.89-2.11
O8 0.2577 0.7576 0.0071  1 Co 1.99
O9 0.3109 0.8103 0.5604  1 Nb 2.10
O10 0.3572 0.3577 0.1072  2 Nb 1.99
O11 0.3577 0.3572 0.6072  2 Nb 1.99
O12 0.4048 0.9039 0.6544  1 Nb 1.92
O13 0.4430 0.4705 0.7195  2 Co 1.89-2.11
O14 0.4705 0.4430 0.2195  2 Co 1.89-2.11
O15 0.5080 0.0081 0.7574  1 Co 1.99
O16 0.5612 0.0607 0.3109  1 Nb 2.10
O17 0.6065 0.6074 0.8569  2 Nb 1.99
O18 0.6074 0.6065 0.3569  2 Nb 1.99
O19 0.6548 0.1545 0.4040  1 Nb 1.92
O20 0.6938 0.7199 0.4709  2 Co 1.89-2.11
O21 0.7199 0.6938 0.9709  2 Co 1.89-2.11
O22 0.7576 0.2577 0.5071  1 Co 1.99
O23 0.8103 0.3109 0.0604  1 Nb 2.10
O24 0.8570 0.8578 0.6075  2 Nb 1.99
O25 0.8578 0.8570 0.1075  2 Nb 1.99
O26 0.9039 0.4048 0.1544  1 Nb 1.92
O27 0.9430 0.9705 0.6929  2 Co 1.89-2.11
O28 0.9705 0.9430 0.1929  2 Co 1.89-2.11

Least stable of them? b.